VSb2NCl14 | PBE | relaxed

E   -3.519 eV per atom
Calculated formation energy   -1.132 eV per atom
Total magnetic moment   0.001 μB per atom
SG   No. 14

abc: 6.4343 13.0930 25.2397
angles: 72.43 90.00 90.00
Fractional positions:
N 0.0834 0.9752 0.1463
N 0.5834 0.0248 0.3537
N 0.9166 0.0248 0.8537
N 0.4166 0.9752 0.6463
Cl 0.2307 0.7418 0.1892
Cl 0.7176 0.9287 0.3468
Cl 0.1601 0.0449 0.3952
Cl 0.2176 0.0713 0.1532
Cl 0.8821 0.1285 0.9426
Cl 0.1179 0.8715 0.0574
Cl 0.4091 0.6147 0.3248
Cl 0.7123 0.3973 0.4177
Cl 0.0909 0.6147 0.8248
Cl 0.3399 0.0449 0.8952
Cl 0.7228 0.6967 0.6258
Cl 0.6183 0.2504 0.5500
Cl 0.6649 0.8306 0.9929
Cl 0.3351 0.1694 0.0071
Cl 0.2718 0.8738 0.7870
Cl 0.6179 0.1285 0.4426
Cl 0.8351 0.8306 0.4929
Cl 0.2877 0.6027 0.5823
Cl 0.7307 0.2582 0.3108
Cl 0.7580 0.5575 0.5249
Cl 0.7718 0.1262 0.7130
Cl 0.2580 0.4425 0.9751
Cl 0.0582 0.4533 0.7228
Cl 0.2693 0.7418 0.6892
Cl 0.7824 0.9287 0.8468
Cl 0.5796 0.6843 0.8718
Cl 0.2824 0.0713 0.6532
Cl 0.2909 0.1912 0.2703
Cl 0.7772 0.6967 0.1258
Cl 0.2772 0.3033 0.3742
Cl 0.2420 0.4425 0.4751
Cl 0.1183 0.7496 0.9500
Cl 0.9418 0.5467 0.2772
Cl 0.7091 0.8088 0.7297
Cl 0.5909 0.3853 0.6752
Cl 0.8399 0.9551 0.6048
Cl 0.3821 0.8715 0.5574
Cl 0.4204 0.3157 0.1282
Cl 0.2282 0.8738 0.2870
Cl 0.7420 0.5575 0.0249
Cl 0.7909 0.8088 0.2297
Cl 0.4418 0.4533 0.2228
Cl 0.0796 0.3157 0.6282
Cl 0.7693 0.2582 0.8108
Cl 0.2123 0.6027 0.0823
Cl 0.5582 0.5467 0.7772
Cl 0.2228 0.3033 0.8742
Cl 0.7282 0.1262 0.2130
Cl 0.2091 0.1912 0.7703
Cl 0.9091 0.3853 0.1752
Cl 0.9204 0.6843 0.3718
Cl 0.1649 0.1694 0.5071
Cl 0.6601 0.9551 0.1048
Cl 0.7877 0.3973 0.9177
Cl 0.8817 0.2504 0.0500
Cl 0.3817 0.7496 0.4500
Sb 0.3994 0.7020 0.7878
Sb 0.5710 0.7042 0.5340
Sb 0.6006 0.2980 0.2122
Sb 0.9290 0.7042 0.0340
Sb 0.4290 0.2958 0.4660
Sb 0.8994 0.2980 0.7122
Sb 0.1006 0.7020 0.2878
Sb 0.0710 0.2958 0.9660
V 0.0511 0.1276 0.8619
V 0.5511 0.8724 0.6381
V 0.4489 0.1276 0.3619
V 0.9489 0.8724 0.1381